Here is a relaxed structure of NdSi2Ru2 from the Materials Project. Energies are from PBE-GGA.

Values from the calculation:
Final energy in eV per atom: -7.72
Crystal system: tetragonal
E_form in kJ per mole of atoms: -86

a b c (Å): 5.7525 5.7525 5.7525
angles (deg): 136.91 136.91 62.57
Positions (direct):
Ru (0.2500, 0.7500, 0.5000)
Ru (0.7500, 0.2500, 0.5000)
Si (0.6357, 0.6357, 0.0000)
Si (0.3643, 0.3643, 0.0000)
Nd (0.0000, 0.0000, 0.0000)

---

Here is a relaxed structure of YMgSe3 from the Materials Project. Energies are from PBE-GGA.

Values from the calculation:
E above lowest polymorph in meV per atom: 0.0
Final energy in eV per atom: -4.94
E_form in kJ per mole of atoms: -146

a b c (Å): 6.9139 6.9139 19.3044
angles (deg): 90.00 90.00 120.00
Positions (direct):
Y (0.6667, 0.3333, 0.6807)
Y (0.3333, 0.6667, 0.3193)
Y (0.0000, 0.0000, 0.3474)
Y (0.6667, 0.3333, 0.9860)
Y (0.3333, 0.6667, 0.0140)
Y (0.0000, 0.0000, 0.6526)
Mg (0.6667, 0.3333, 0.1720)
Mg (0.6667, 0.3333, 0.4946)
Mg (0.0000, 0.0000, 0.8387)
Mg (0.0000, 0.0000, 0.1613)
Mg (0.3333, 0.6667, 0.8280)
Mg (0.3333, 0.6667, 0.5054)
Se (0.0267, 0.6995, 0.7498)
Se (0.3272, 0.0267, 0.2502)
Se (0.6995, 0.6728, 0.2502)
Se (0.6605, 0.6933, 0.9169)
Se (0.6933, 0.0328, 0.0831)
Se (0.3067, 0.9672, 0.9169)
Se (0.3600, 0.3662, 0.4164)
Se (0.0328, 0.3395, 0.9169)
Se (0.9938, 0.3600, 0.5836)
Se (0.0062, 0.6400, 0.4164)
Se (0.3395, 0.3067, 0.0831)
Se (0.6338, 0.9938, 0.4164)
Se (0.3662, 0.0062, 0.5836)
Se (0.6728, 0.9733, 0.7498)
Se (0.9733, 0.3005, 0.2502)
Se (0.9672, 0.6605, 0.0831)
Se (0.3005, 0.3272, 0.7498)
Se (0.6400, 0.6338, 0.5836)

---

Here is a relaxed structure of Na4XeO12 from the Materials Project. Energies are from PBE-GGA.

Values from the calculation:
E above lowest polymorph in meV per atom: 0.0
Final energy in eV per atom: -4.30
Crystal system: orthorhombic
E_form in kJ per mole of atoms: -59

a b c (Å): 6.3580 10.9154 16.4612
angles (deg): 90.00 90.00 90.00
Positions (direct):
Na (0.4387, 0.1573, 0.9766)
Na (0.9387, 0.3427, 0.9766)
Na (0.5613, 0.8427, 0.0234)
Na (0.3841, 0.8657, 0.2317)
Na (0.1159, 0.8657, 0.7317)
Na (0.8841, 0.6343, 0.2317)
Na (0.6159, 0.1343, 0.7683)
Na (0.1159, 0.3657, 0.7683)
Na (0.6159, 0.6343, 0.7317)
Na (0.5613, 0.3427, 0.4766)
Na (0.8841, 0.1343, 0.2683)
Na (0.0613, 0.1573, 0.4766)
Na (0.9387, 0.8427, 0.5234)
Na (0.0613, 0.6573, 0.0234)
Na (0.4387, 0.6573, 0.5234)
Na (0.3841, 0.3657, 0.2683)
O (0.0569, 0.9427, 0.3215)
O (0.2289, 0.7053, 0.1505)
O (0.2711, 0.2053, 0.8495)
O (0.9427, 0.0742, 0.6004)
O (0.9431, 0.5573, 0.8215)
O (0.5569, 0.0573, 0.1785)
O (0.0573, 0.9258, 0.3996)
O (0.7632, 0.7004, 0.0990)
O (0.7368, 0.7004, 0.5990)
O (0.7278, 0.3228, 0.6105)
O (0.7711, 0.7947, 0.6505)
O (0.7711, 0.2947, 0.8495)
O (0.4427, 0.9258, 0.8996)
O (0.0569, 0.4427, 0.1785)
O (0.2278, 0.1772, 0.6105)
O (0.0573, 0.4258, 0.1004)
O (0.2368, 0.7996, 0.5990)
O (0.7338, 0.8444, 0.8134)
O (0.2711, 0.7053, 0.6505)
O (0.7289, 0.7947, 0.1505)
O (0.7722, 0.3228, 0.1105)
O (0.7278, 0.8228, 0.8895)
O (0.4427, 0.4258, 0.6004)
O (0.7662, 0.3444, 0.1866)
O (0.7662, 0.8444, 0.3134)
O (0.9427, 0.5742, 0.8996)
O (0.7722, 0.8228, 0.3895)
O (0.2722, 0.1772, 0.1105)
O (0.5573, 0.5742, 0.3996)
O (0.2289, 0.2053, 0.3495)
O (0.4431, 0.9427, 0.8215)
O (0.2662, 0.1556, 0.1866)
O (0.2338, 0.1556, 0.6866)
O (0.5573, 0.0742, 0.1004)
O (0.2632, 0.2996, 0.4010)
O (0.7368, 0.2004, 0.9010)
O (0.2338, 0.6556, 0.8134)
O (0.7289, 0.2947, 0.3495)
O (0.2278, 0.6772, 0.8895)
O (0.4431, 0.4427, 0.6785)
O (0.2722, 0.6772, 0.3895)
O (0.2632, 0.7996, 0.0990)
O (0.5569, 0.5573, 0.3215)
O (0.7632, 0.2004, 0.4010)
O (0.9431, 0.0573, 0.6785)
O (0.2662, 0.6556, 0.3134)
O (0.7338, 0.3444, 0.6866)
O (0.2368, 0.2996, 0.9010)
Xe (0.5000, 0.0000, 0.5000)
Xe (0.0000, 0.0000, 0.0000)
Xe (0.5000, 0.5000, 0.0000)
Xe (0.0000, 0.5000, 0.5000)

---

Here is a relaxed structure of RbCoBr3 from the Materials Project. Energies are from PBE-GGA.

Values from the calculation:
Final energy in eV per atom: -3.38
Crystal system: trigonal
E_form in kJ per mole of atoms: -106

a b c (Å): 13.0701 13.0701 6.2096
angles (deg): 90.00 90.00 120.00
Positions (direct):
Co (0.0000, 0.0000, 0.5000)
Co (0.6667, 0.3333, 0.9692)
Co (0.3333, 0.6667, 0.0308)
Co (0.0000, 0.0000, 0.0000)
Co (0.3333, 0.6667, 0.5308)
Co (0.6667, 0.3333, 0.4692)
Br (0.1571, 0.0000, 0.2500)
Br (0.8241, 0.3334, 0.2181)
Br (0.8429, 0.8429, 0.2500)
Br (0.8429, 0.0000, 0.7500)
Br (0.4907, 0.8241, 0.7819)
Br (0.5093, 0.3334, 0.7181)
Br (0.1759, 0.5093, 0.2819)
Br (0.6666, 0.1759, 0.7181)
Br (0.3334, 0.8241, 0.2819)
Br (0.5093, 0.1759, 0.2181)
Br (0.3334, 0.5093, 0.7819)
Br (0.0000, 0.1571, 0.2500)
Br (0.4907, 0.6666, 0.2819)
Br (0.1759, 0.6666, 0.7819)
Br (0.0000, 0.8429, 0.7500)
Br (0.1571, 0.1571, 0.7500)
Br (0.6666, 0.4907, 0.2181)
Br (0.8241, 0.4907, 0.7181)
Rb (0.3321, 0.3321, 0.2500)
Rb (0.6679, 0.0000, 0.2500)
Rb (0.3321, 0.0000, 0.7500)
Rb (0.0000, 0.6679, 0.2500)
Rb (0.6679, 0.6679, 0.7500)
Rb (0.0000, 0.3321, 0.7500)